[1]
Entry from Materials Project: Cs4PbCl6 after structural relaxation (meta-GGA r2SCAN).

V: 38.59 Å³/atom
calculated total energy: -19.576 eV/atom
SG: R-3c (167)
energy of formation from the pure elements: -1.972 eV per atom

Cell: 9.471 9.471 9.471 Å, 88.79 88.79 88.79°
Atoms (fractional coordinates):
Cs 0.250 0.250 0.250
Cs 0.750 0.750 0.750
Cs 0.877 0.623 0.250
Cs 0.250 0.877 0.623
Cs 0.623 0.250 0.877
Cs 0.750 0.123 0.377
Cs 0.377 0.750 0.123
Cs 0.123 0.377 0.750
Pb 0.500 0.500 0.500
Pb 0.000 0.000 0.000
Cl 0.209 0.562 0.426
Cl 0.426 0.209 0.562
Cl 0.562 0.426 0.209
Cl 0.926 0.062 0.709
Cl 0.709 0.926 0.062
Cl 0.062 0.709 0.926
Cl 0.791 0.438 0.574
Cl 0.574 0.791 0.438
Cl 0.438 0.574 0.791
Cl 0.074 0.938 0.291
Cl 0.291 0.074 0.938
Cl 0.938 0.291 0.074



[2]
Entry from Materials Project: WCl2 after structural relaxation (meta-GGA r2SCAN).

V: 26.74 Å³/atom
calculated total energy: -22.049 eV/atom
SG: Cmce (64)
energy of formation from the pure elements: -0.825 eV per atom

Cell: 9.323 9.323 11.428 Å, 90.00 90.00 104.23°
Atoms (fractional coordinates):
W 0.126 0.874 0.000
W 0.874 0.126 0.000
W 0.374 0.626 0.500
W 0.626 0.374 0.500
W 0.432 0.432 0.354
W 0.568 0.568 0.646
W 0.068 0.068 0.854
W 0.932 0.932 0.146
W 0.146 0.146 0.068
W 0.854 0.854 0.932
W 0.354 0.354 0.568
W 0.646 0.646 0.432
Cl 0.288 0.712 0.000
Cl 0.712 0.288 0.000
Cl 0.212 0.788 0.500
Cl 0.788 0.212 0.500
Cl 0.195 0.956 0.207
Cl 0.805 0.044 0.793
Cl 0.305 0.544 0.707
Cl 0.456 0.695 0.293
Cl 0.695 0.456 0.293
Cl 0.544 0.305 0.707
Cl 0.044 0.805 0.793
Cl 0.956 0.195 0.207
Cl 0.350 0.350 0.149
Cl 0.650 0.650 0.851
Cl 0.150 0.150 0.649
Cl 0.850 0.850 0.351
Cl 0.674 0.913 0.075
Cl 0.326 0.087 0.925
Cl 0.826 0.587 0.575
Cl 0.413 0.174 0.425
Cl 0.174 0.413 0.425
Cl 0.587 0.826 0.575
Cl 0.087 0.326 0.925
Cl 0.913 0.674 0.075



[3]
Entry from Materials Project: AlNi2O4 after structural relaxation (meta-GGA r2SCAN).

V: 9.46 Å³/atom
calculated total energy: -9.688 eV/atom
SG: Fd-3m (227)
energy of formation from the pure elements: -1.890 eV per atom

Cell: 5.721 5.721 5.721 Å, 60.00 60.00 60.00°
Atoms (fractional coordinates):
Al 0.750 0.750 0.750
Al 0.500 0.500 0.500
Ni 0.125 0.625 0.125
Ni 0.125 0.125 0.625
Ni 0.625 0.125 0.125
Ni 0.125 0.125 0.125
O 0.366 0.878 0.878
O 0.878 0.878 0.878
O 0.372 0.884 0.372
O 0.372 0.372 0.884
O 0.878 0.878 0.366
O 0.878 0.366 0.878
O 0.884 0.372 0.372
O 0.372 0.372 0.372



[4]
Entry from Materials Project: DySiAg after structural relaxation (meta-GGA r2SCAN).

V: 19.83 Å³/atom
calculated total energy: -21.350 eV/atom
SG: P-62m (189)
energy of formation from the pure elements: -0.646 eV per atom

Cell: 7.019 7.019 4.183 Å, 90.00 90.00 120.00°
Atoms (fractional coordinates):
Dy 0.418 0.418 0.500
Dy 0.582 0.000 0.500
Dy 0.000 0.582 0.500
Si 0.667 0.333 0.000
Si 0.333 0.667 0.000
Si 0.000 0.000 0.500
Ag 0.750 0.750 0.000
Ag 0.250 0.000 0.000
Ag 0.000 0.250 0.000



[5]
Entry from Materials Project: Ni5Ge3 after structural relaxation (meta-GGA r2SCAN).

V: 12.10 Å³/atom
calculated total energy: -12.964 eV/atom
SG: C2/c (15)
energy of formation from the pure elements: -0.273 eV per atom

Cell: 6.313 6.313 6.307 Å, 64.15 64.15 63.82°
Atoms (fractional coordinates):
Ni 0.672 0.182 0.146
Ni 0.818 0.328 0.354
Ni 0.328 0.818 0.854
Ni 0.182 0.672 0.646
Ni 0.000 0.500 0.500
Ni 0.500 0.000 0.000
Ni 0.739 0.913 0.585
Ni 0.087 0.261 0.915
Ni 0.261 0.087 0.415
Ni 0.913 0.739 0.085
Ge 0.897 0.103 0.750
Ge 0.103 0.897 0.250
Ge 0.585 0.716 0.451
Ge 0.284 0.415 0.049
Ge 0.415 0.284 0.549
Ge 0.716 0.585 0.951



[6]
Entry from Materials Project: Tm3Th after structural relaxation (meta-GGA r2SCAN).

V: 30.86 Å³/atom
calculated total energy: -44.668 eV/atom
energy above the most stable polymorph in this dataset: 0.010 eV/atom
SG: I4/mmm (139)
energy of formation from the pure elements: 0.041 eV per atom

Cell: 6.026 6.026 6.026 Å, 130.56 130.56 72.51°
Atoms (fractional coordinates):
Tm 0.750 0.250 0.500
Tm 0.250 0.750 0.500
Tm 0.500 0.500 0.000
Th 0.000 0.000 0.000



[7]
Entry from Materials Project: InGa2Au2 after structural relaxation (meta-GGA r2SCAN).

V: 20.22 Å³/atom
calculated total energy: -29.597 eV/atom
SG: P6_3/mmc (194)
energy of formation from the pure elements: -0.270 eV per atom

Cell: 4.239 4.239 12.992 Å, 90.00 90.00 120.00°
Atoms (fractional coordinates):
In 0.000 0.000 0.250
In 0.000 0.000 0.750
Ga 0.333 0.667 0.936
Ga 0.667 0.333 0.064
Ga 0.667 0.333 0.436
Ga 0.333 0.667 0.564
Au 0.333 0.667 0.362
Au 0.667 0.333 0.638
Au 0.667 0.333 0.862
Au 0.333 0.667 0.138



[8]
Entry from Materials Project: Ga9Rh2 after structural relaxation (meta-GGA r2SCAN).

V: 16.33 Å³/atom
calculated total energy: -14.088 eV/atom
energy above the most stable polymorph in this dataset: 0.003 eV/atom
SG: P2_1/c (14)
energy of formation from the pure elements: -0.337 eV per atom

Cell: 6.408 6.413 8.752 Å, 90.00 92.76 90.00°
Atoms (fractional coordinates):
Ga 0.000 0.500 0.500
Ga 0.000 0.000 0.000
Ga 0.603 0.496 0.225
Ga 0.397 0.996 0.275
Ga 0.397 0.504 0.775
Ga 0.603 0.004 0.725
Ga 0.898 0.792 0.281
Ga 0.102 0.292 0.219
Ga 0.102 0.208 0.719
Ga 0.898 0.708 0.781
Ga 0.607 0.691 0.505
Ga 0.393 0.191 0.995
Ga 0.393 0.309 0.495
Ga 0.607 0.809 0.005
Ga 0.786 0.106 0.458
Ga 0.214 0.606 0.042
Ga 0.214 0.894 0.542
Ga 0.786 0.394 0.958
Rh 0.740 0.131 0.170
Rh 0.260 0.631 0.330
Rh 0.260 0.869 0.830
Rh 0.740 0.369 0.670